Record 1
Density functional theory data (GGA-PBE) for a geometry-optimized Na21ZnS10Cl3O40 structure.

ρ   2.2 g cm⁻³
Space-group type   No. 1
E above lowest polymorph   67.9 meV per atom

Cell lengths 14.240, 14.342, 14.940 Å; angles 109.42, 109.98, 106.87 degrees
Fractional positions:
Na 0.000 0.000 0.000
Na 0.001 0.631 0.137
Na 0.010 0.179 0.192
Na 0.018 0.728 0.441
Na 0.022 0.908 0.208
Na 0.041 0.969 0.473
Na 0.056 0.516 0.932
Na 0.092 0.247 0.647
Na 0.093 0.440 0.457
Na 0.160 0.093 0.819
Na 0.201 0.367 0.141
Na 0.219 0.873 0.935
Na 0.244 0.178 0.503
Na 0.250 0.708 0.392
Na 0.255 0.829 0.173
Na 0.268 0.932 0.685
Na 0.281 0.465 0.669
Na 0.293 0.666 0.942
Na 0.295 0.241 0.352
Na 0.331 0.194 0.066
Na 0.335 0.673 0.600
Na 0.417 0.080 0.608
Na 0.451 0.600 0.375
Na 0.470 0.890 0.913
Na 0.475 0.916 0.397
Na 0.524 0.412 0.393
Na 0.528 0.490 0.963
Na 0.529 0.699 0.158
Na 0.551 0.177 0.146
Na 0.599 0.769 0.786
Na 0.631 0.272 0.672
Na 0.691 0.430 0.138
Na 0.706 0.613 0.353
Na 0.718 0.908 0.130
Na 0.730 0.003 0.658
Na 0.757 0.807 0.548
Na 0.780 0.652 0.956
Na 0.794 0.475 0.684
Na 0.864 0.367 0.273
Na 0.892 0.613 0.580
Na 0.898 0.815 0.787
Na 0.973 0.263 0.780
Zn 0.740 0.148 0.348
Zn 0.800 0.242 0.928
S 0.025 0.698 0.928
S 0.177 0.675 0.684
S 0.204 0.903 0.384
S 0.224 0.063 0.148
S 0.261 0.436 0.386
S 0.268 0.625 0.173
S 0.308 0.245 0.729
S 0.471 0.428 0.154
S 0.485 0.901 0.676
S 0.509 0.941 0.178
S 0.515 0.666 0.901
S 0.667 0.653 0.622
S 0.735 0.159 0.073
S 0.735 0.394 0.913
S 0.737 0.380 0.397
S 0.749 0.169 0.583
S 0.822 0.717 0.219
S 0.975 0.154 0.397
S 0.977 0.151 0.915
S 0.988 0.880 0.626
Cl 0.033 0.548 0.330
Cl 0.124 0.433 0.796
Cl 0.346 0.048 0.914
Cl 0.455 0.262 0.526
Cl 0.595 0.792 0.397
Cl 0.844 0.879 0.020
O 0.002 0.111 0.475
O 0.017 0.276 0.458
O 0.020 0.780 0.888
O 0.026 0.125 0.326
O 0.027 0.186 0.033
O 0.029 0.897 0.739
O 0.060 0.633 0.663
O 0.066 0.186 0.886
O 0.083 0.907 0.603
O 0.140 0.082 0.184
O 0.140 0.819 0.267
O 0.142 0.573 0.110
O 0.145 0.718 0.978
O 0.149 0.364 0.285
O 0.166 0.992 0.397
O 0.178 0.033 0.030
O 0.179 0.850 0.449
O 0.198 0.745 0.631
O 0.199 0.578 0.634
O 0.222 0.212 0.764
O 0.243 0.974 0.165
O 0.257 0.405 0.471
O 0.257 0.741 0.804
O 0.270 0.301 0.664
O 0.291 0.555 0.425
O 0.300 0.552 0.214
O 0.303 0.142 0.653
O 0.309 0.734 0.269
O 0.317 0.643 0.103
O 0.327 0.953 0.423
O 0.330 0.170 0.212
O 0.347 0.366 0.100
O 0.347 0.414 0.357
O 0.416 0.813 0.559
O 0.421 0.319 0.821
O 0.425 0.899 0.063
O 0.438 0.622 0.784
O 0.441 0.983 0.697
O 0.452 0.632 0.956
O 0.453 0.930 0.243
O 0.476 0.845 0.744
O 0.511 0.509 0.119
O 0.516 0.345 0.129
O 0.518 0.490 0.275
O 0.559 0.612 0.620
O 0.574 0.790 0.950
O 0.581 0.884 0.184
O 0.586 0.065 0.224
O 0.599 0.621 0.912
O 0.604 0.957 0.705
O 0.614 0.314 0.333
O 0.642 0.100 0.575
O 0.651 0.611 0.508
O 0.659 0.053 0.057
O 0.678 0.269 0.834
O 0.681 0.421 0.979
O 0.697 0.246 0.109
O 0.720 0.732 0.179
O 0.722 0.779 0.677
O 0.724 0.164 0.476
O 0.730 0.139 0.966
O 0.737 0.454 0.850
O 0.748 0.622 0.685
O 0.775 0.432 0.515
O 0.780 0.468 0.368
O 0.791 0.304 0.369
O 0.796 0.287 0.667
O 0.807 0.637 0.265
O 0.831 0.126 0.615
O 0.848 0.098 0.324
O 0.848 0.671 0.130
O 0.853 0.203 0.157
O 0.854 0.415 0.985
O 0.901 0.031 0.849
O 0.904 0.759 0.547
O 0.910 0.215 0.888
O 0.922 0.825 0.307
O 0.932 0.949 0.610
O 0.955 0.582 0.837
O 0.987 0.712 0.011

Record 2
Density functional theory data (GGA-PBE) for a geometry-optimized Na2PdCl4 structure.

ρ   2.7 g cm⁻³
Space-group type   No. 130
DFT total energy   -95.74 eV/cell

Cell lengths 9.696, 9.696, 7.684 Å; angles 90.00, 90.00, 90.00 degrees
Fractional positions:
Na 0.056 0.556 0.250
Na 0.056 0.944 0.750
Na 0.444 0.556 0.750
Na 0.444 0.944 0.250
Na 0.556 0.056 0.750
Na 0.556 0.444 0.250
Na 0.944 0.056 0.250
Na 0.944 0.444 0.750
Pd 0.250 0.250 0.065
Pd 0.250 0.250 0.565
Pd 0.750 0.750 0.435
Pd 0.750 0.750 0.935
Cl 0.015 0.196 0.569
Cl 0.015 0.304 0.069
Cl 0.196 0.015 0.069
Cl 0.196 0.485 0.569
Cl 0.304 0.015 0.569
Cl 0.304 0.485 0.069
Cl 0.485 0.196 0.069
Cl 0.485 0.304 0.569
Cl 0.515 0.696 0.431
Cl 0.515 0.804 0.931
Cl 0.696 0.515 0.931
Cl 0.696 0.985 0.431
Cl 0.804 0.515 0.431
Cl 0.804 0.985 0.931
Cl 0.985 0.696 0.931
Cl 0.985 0.804 0.431

Record 3
Density functional theory data (GGA-PBE) for a geometry-optimized Na3Pr5Cl18 structure.

ρ   3.6 g cm⁻³
Space-group type   No. 174
DFT total energy   -117.53 eV/cell

Cell lengths 7.601, 7.601, 12.982 Å; angles 90.00, 90.00, 120.00 degrees
Fractional positions:
Na 0.000 0.000 0.000
Na 0.667 0.333 0.142
Na 0.667 0.333 0.858
Pr 0.000 0.000 0.334
Pr 0.000 0.000 0.666
Pr 0.333 0.667 0.166
Pr 0.333 0.667 0.500
Pr 0.333 0.667 0.834
Cl 0.046 0.614 0.000
Cl 0.057 0.637 0.335
Cl 0.057 0.637 0.665
Cl 0.275 0.021 0.173
Cl 0.275 0.021 0.827
Cl 0.275 0.028 0.500
Cl 0.363 0.420 0.335
Cl 0.363 0.420 0.665
Cl 0.386 0.433 0.000
Cl 0.567 0.954 0.000
Cl 0.580 0.943 0.335
Cl 0.580 0.943 0.665
Cl 0.746 0.725 0.173
Cl 0.746 0.725 0.827
Cl 0.753 0.725 0.500
Cl 0.972 0.247 0.500
Cl 0.979 0.254 0.173
Cl 0.979 0.254 0.827

Record 4
Density functional theory data (GGA-PBE) for a geometry-optimized Rb2NaTbCl6 structure.

ρ   3.0 g cm⁻³
Space-group type   No. 225
DFT total energy   -39.94 eV/cell

Cell lengths 7.651, 7.651, 7.651 Å; angles 60.00, 60.00, 60.00 degrees
Fractional positions:
Rb 0.250 0.250 0.250
Rb 0.750 0.750 0.750
Na 0.000 0.000 0.000
Tb 0.500 0.500 0.500
Cl 0.255 0.255 0.745
Cl 0.255 0.745 0.255
Cl 0.255 0.745 0.745
Cl 0.745 0.255 0.255
Cl 0.745 0.255 0.745
Cl 0.745 0.745 0.255

Record 5
Density functional theory data (GGA-PBE) for a geometry-optimized Rb2NaTmCl6 structure.

ρ   3.1 g cm⁻³
Space-group type   No. 225
DFT total energy   -39.85 eV/cell

Cell lengths 7.580, 7.580, 7.580 Å; angles 60.00, 60.00, 60.00 degrees
Fractional positions:
Rb 0.250 0.250 0.250
Rb 0.750 0.750 0.750
Na 0.000 0.000 0.000
Tm 0.500 0.500 0.500
Cl 0.258 0.258 0.742
Cl 0.258 0.742 0.258
Cl 0.258 0.742 0.742
Cl 0.742 0.258 0.258
Cl 0.742 0.258 0.742
Cl 0.742 0.742 0.258

Record 6
Density functional theory data (GGA-PBE) for a geometry-optimized Rb2NaVCl6 structure.

ρ   2.8 g cm⁻³
Space-group type   No. 225
DFT total energy   -40.05 eV/cell

Cell lengths 7.304, 7.304, 7.304 Å; angles 60.00, 60.00, 60.00 degrees
Fractional positions:
Rb 0.250 0.250 0.250
Rb 0.750 0.750 0.750
Na 0.000 0.000 0.000
V 0.500 0.500 0.500
Cl 0.268 0.268 0.732
Cl 0.268 0.732 0.268
Cl 0.268 0.732 0.732
Cl 0.732 0.268 0.268
Cl 0.732 0.268 0.732
Cl 0.732 0.732 0.268

Record 7
Density functional theory data (GGA-PBE) for a geometry-optimized NaScCl4 structure.

ρ   2.2 g cm⁻³
Space-group type   No. 60
DFT total energy   -108.58 eV/cell

Cell lengths 6.351, 15.714, 6.433 Å; angles 90.00, 90.00, 90.00 degrees
Fractional positions:
Na 0.000 0.180 0.250
Na 0.000 0.820 0.750
Na 0.500 0.320 0.750
Na 0.500 0.680 0.250
Sc 0.000 0.430 0.250
Sc 0.000 0.570 0.750
Sc 0.500 0.070 0.750
Sc 0.500 0.930 0.250
Cl 0.221 0.451 0.572
Cl 0.221 0.549 0.072
Cl 0.231 0.323 0.106
Cl 0.231 0.677 0.606
Cl 0.269 0.177 0.606
Cl 0.269 0.823 0.106
Cl 0.279 0.049 0.072
Cl 0.279 0.951 0.572
Cl 0.721 0.049 0.428
Cl 0.721 0.951 0.928
Cl 0.731 0.177 0.894
Cl 0.731 0.823 0.394
Cl 0.769 0.323 0.394
Cl 0.769 0.677 0.894
Cl 0.779 0.451 0.928
Cl 0.779 0.549 0.428

Record 8
Density functional theory data (GGA-PBE) for a geometry-optimized Na2SmCl5 structure.

ρ   3.1 g cm⁻³
Space-group type   No. 62
DFT total energy   -131.24 eV/cell

Cell lengths 12.172, 8.393, 7.786 Å; angles 90.00, 90.00, 90.00 degrees
Fractional positions:
Na 0.172 0.004 0.042
Na 0.172 0.496 0.042
Na 0.328 0.504 0.542
Na 0.328 0.996 0.542
Na 0.672 0.004 0.458
Na 0.672 0.496 0.458
Na 0.828 0.504 0.958
Na 0.828 0.996 0.958
Sm 0.008 0.250 0.582
Sm 0.492 0.750 0.082
Sm 0.508 0.250 0.918
Sm 0.992 0.750 0.418
Cl 0.004 0.250 0.940
Cl 0.084 0.545 0.668
Cl 0.084 0.955 0.668
Cl 0.186 0.250 0.366
Cl 0.213 0.750 0.331
Cl 0.287 0.250 0.831
Cl 0.314 0.750 0.866
Cl 0.416 0.045 0.168
Cl 0.416 0.455 0.168
Cl 0.496 0.750 0.440
Cl 0.504 0.250 0.560
Cl 0.584 0.545 0.832
Cl 0.584 0.955 0.832
Cl 0.686 0.250 0.134
Cl 0.713 0.750 0.169
Cl 0.787 0.250 0.669
Cl 0.814 0.750 0.634
Cl 0.916 0.045 0.332
Cl 0.916 0.455 0.332
Cl 0.996 0.750 0.060

Record 9
Density functional theory data (GGA-PBE) for a geometry-optimized NaSm2Cl6 structure.

ρ   4.2 g cm⁻³
Space-group type   No. 143
DFT total energy   -119.99 eV/cell

Cell lengths 13.894, 13.894, 3.812 Å; angles 90.00, 90.00, 120.00 degrees
Fractional positions:
Na 0.000 0.000 0.000
Na 0.333 0.667 0.505
Na 0.667 0.333 0.251
Sm 0.003 0.333 0.749
Sm 0.330 0.997 0.749
Sm 0.336 0.332 0.249
Sm 0.667 0.670 0.749
Sm 0.668 0.003 0.249
Sm 0.997 0.664 0.249
Cl 0.071 0.842 0.750
Cl 0.106 0.599 0.749
Cl 0.158 0.228 0.750
Cl 0.176 0.438 0.249
Cl 0.232 0.075 0.248
Cl 0.262 0.824 0.249
Cl 0.401 0.507 0.749
Cl 0.445 0.267 0.749
Cl 0.493 0.894 0.749
Cl 0.504 0.098 0.248
Cl 0.562 0.738 0.249
Cl 0.595 0.496 0.248
Cl 0.733 0.179 0.749
Cl 0.772 0.929 0.750
Cl 0.821 0.555 0.749
Cl 0.843 0.768 0.248
Cl 0.902 0.405 0.248
Cl 0.925 0.157 0.248

Record 10
Density functional theory data (GGA-PBE) for a geometry-optimized NaSn2Cl5 structure.

ρ   3.1 g cm⁻³
Space-group type   No. 58
DFT total energy   -112.89 eV/cell

Cell lengths 8.640, 12.174, 8.830 Å; angles 90.00, 90.00, 90.00 degrees
Fractional positions:
Na 0.000 0.000 0.248
Na 0.000 0.000 0.752
Na 0.500 0.500 0.252
Na 0.500 0.500 0.748
Sn 0.054 0.327 0.000
Sn 0.054 0.333 0.500
Sn 0.446 0.827 0.500
Sn 0.446 0.833 0.000
Sn 0.554 0.167 0.000
Sn 0.554 0.173 0.500
Sn 0.946 0.667 0.500
Sn 0.946 0.673 0.000
Cl 0.000 0.500 0.297
Cl 0.000 0.500 0.703
Cl 0.161 0.897 0.000
Cl 0.165 0.207 0.221
Cl 0.165 0.207 0.779
Cl 0.185 0.934 0.500
Cl 0.315 0.434 0.000
Cl 0.335 0.707 0.279
Cl 0.335 0.707 0.721
Cl 0.339 0.397 0.500
Cl 0.500 0.000 0.203
Cl 0.500 0.000 0.797
Cl 0.661 0.603 0.500
Cl 0.665 0.293 0.279
Cl 0.665 0.293 0.721
Cl 0.685 0.566 0.000
Cl 0.815 0.066 0.500
Cl 0.835 0.793 0.221
Cl 0.835 0.793 0.779
Cl 0.839 0.103 0.000

Please write out number 8 again, unchanged.
Density functional theory data (GGA-PBE) for a geometry-optimized Na2SmCl5 structure.

ρ   3.1 g cm⁻³
Space-group type   No. 62
DFT total energy   -131.24 eV/cell

Cell lengths 12.172, 8.393, 7.786 Å; angles 90.00, 90.00, 90.00 degrees
Fractional positions:
Na 0.172 0.004 0.042
Na 0.172 0.496 0.042
Na 0.328 0.504 0.542
Na 0.328 0.996 0.542
Na 0.672 0.004 0.458
Na 0.672 0.496 0.458
Na 0.828 0.504 0.958
Na 0.828 0.996 0.958
Sm 0.008 0.250 0.582
Sm 0.492 0.750 0.082
Sm 0.508 0.250 0.918
Sm 0.992 0.750 0.418
Cl 0.004 0.250 0.940
Cl 0.084 0.545 0.668
Cl 0.084 0.955 0.668
Cl 0.186 0.250 0.366
Cl 0.213 0.750 0.331
Cl 0.287 0.250 0.831
Cl 0.314 0.750 0.866
Cl 0.416 0.045 0.168
Cl 0.416 0.455 0.168
Cl 0.496 0.750 0.440
Cl 0.504 0.250 0.560
Cl 0.584 0.545 0.832
Cl 0.584 0.955 0.832
Cl 0.686 0.250 0.134
Cl 0.713 0.750 0.169
Cl 0.787 0.250 0.669
Cl 0.814 0.750 0.634
Cl 0.916 0.045 0.332
Cl 0.916 0.455 0.332
Cl 0.996 0.750 0.060